1.
{
  "formula": "In3SnI5",
  "functional": "PBE",
  "state": "relaxed",
  "cell": [[9.0427, 0.0000, 0.0000], [0.0000, 9.1303, 0.0000], [-7.5078, 0.0000, 17.5174]],
  "species": ["In", "In", "In", "In", "In", "In", "In", "In", "In", "In", "In", "In", "Sn", "Sn", "Sn", "Sn", "I", "I", "I", "I", "I", "I", "I", "I", "I", "I", "I", "I", "I", "I", "I", "I", "I", "I", "I", "I"],
  "fractional_positions": [[0.0695, 0.2137, 0.0279], [0.0695, 0.2863, 0.5279], [0.1084, 0.6890, 0.7492], [0.1084, 0.8110, 0.2492], [0.3890, 0.5329, 0.2494], [0.3890, 0.9671, 0.7494], [0.6110, 0.0329, 0.2506], [0.6110, 0.4671, 0.7506], [0.8916, 0.1890, 0.7508], [0.8916, 0.3110, 0.2508], [0.9305, 0.7137, 0.4721], [0.9305, 0.7863, 0.9721], [0.3912, 0.1776, 0.4142], [0.3912, 0.3224, 0.9142], [0.6088, 0.6776, 0.0858], [0.6088, 0.8224, 0.5858], [0.0610, 0.0138, 0.3969], [0.0610, 0.4862, 0.8969], [0.2006, 0.0302, 0.8945], [0.2006, 0.4698, 0.3945], [0.2398, 0.1672, 0.2387], [0.2398, 0.3328, 0.7387], [0.3179, 0.6683, 0.6132], [0.3179, 0.8317, 0.1132], [0.4662, 0.1488, 0.6045], [0.4662, 0.3512, 0.1045], [0.5338, 0.6488, 0.8955], [0.5338, 0.8512, 0.3955], [0.6821, 0.1683, 0.8868], [0.6821, 0.3317, 0.3868], [0.7602, 0.6672, 0.2613], [0.7602, 0.8328, 0.7613], [0.7994, 0.5302, 0.6055], [0.7994, 0.9698, 0.1055], [0.9390, 0.5138, 0.1031], [0.9390, 0.9862, 0.6031]],
  "ef_ev_per_atom": -0.688,
  "corrected_energy_ev_per_cell": -104.30,
  "e_above_lowest_polymorph_mev_per_atom": 0
}

2.
{
  "formula": "Zr2CrCo3",
  "functional": "PBE",
  "state": "relaxed",
  "cell": [[2.5179, 1.4537, 3.8745], [-2.5179, 1.4537, 3.8745], [0.0000, -2.9074, 3.8745]],
  "species": ["Zr", "Zr", "Cr", "Co", "Co", "Co"],
  "fractional_positions": [[0.1266, 0.1266, 0.1266], [0.8734, 0.8734, 0.8734], [0.5000, 0.5000, 0.5000], [0.0000, 0.5000, 0.5000], [0.5000, 0.0000, 0.5000], [0.5000, 0.5000, 0.0000]],
  "ef_ev_per_atom": -0.245
}

no.,final energy (eV per atom)
1,-2.687
2,-8.257